First-principles (r2SCAN) data for an optimized crystal structure of NaAc2Pb, as listed in the Materials Project.

Values from the calculation:
Energy = -49.57 eV/atom
Formation energy from the elements = -289 meV per atom
Crystal system = cubic

Structure (CIF):
```
data_NaAc2Pb
_space_group_name_H-M_alt 'P 1'
_space_group_IT_number 1
_space_group_name_Hall 'P 1'
_cell_length_a 5.885
_cell_length_b 5.885
_cell_length_c 5.885
_cell_angle_alpha 60.00
_cell_angle_beta 60.00
_cell_angle_gamma 60.00
loop_
_atom_site_label
_atom_site_type_symbol
_atom_site_fract_x
_atom_site_fract_y
_atom_site_fract_z
Na1 Na 0.000 0.000 0.000
Ac1 Ac 0.250 0.250 0.250
Ac2 Ac 0.750 0.750 0.750
Pb1 Pb 0.500 0.500 0.500
```

First-principles (r2SCAN) data for an optimized crystal structure of Ac2O3, as listed in the Materials Project.

Values from the calculation:
Energy = -34.67 eV/atom
Formation energy from the elements = -3627 meV per atom
Crystal system = trigonal

Structure (CIF):
```
data_Ac2O3
_space_group_name_H-M_alt 'P 1'
_space_group_IT_number 1
_space_group_name_Hall 'P 1'
_cell_length_a 4.095
_cell_length_b 4.095
_cell_length_c 6.300
_cell_angle_alpha 90.00
_cell_angle_beta 90.00
_cell_angle_gamma 120.00
loop_
_atom_site_label
_atom_site_type_symbol
_atom_site_fract_x
_atom_site_fract_y
_atom_site_fract_z
Ac1 Ac 0.333 0.667 0.245
Ac2 Ac 0.667 0.333 0.755
O1 O 0.000 0.000 0.000
O2 O 0.333 0.667 0.645
O3 O 0.667 0.333 0.355
```

First-principles (r2SCAN) data for an optimized crystal structure of AcTiO3, as listed in the Materials Project.

Values from the calculation:
Energy = -23.41 eV/atom
Formation energy from the elements = -3507 meV per atom
Crystal system = cubic

Structure (CIF):
```
data_AcTiO3
_space_group_name_H-M_alt 'P 1'
_space_group_IT_number 1
_space_group_name_Hall 'P 1'
_cell_length_a 3.996
_cell_length_b 3.996
_cell_length_c 3.996
_cell_angle_alpha 90.00
_cell_angle_beta 90.00
_cell_angle_gamma 90.00
loop_
_atom_site_label
_atom_site_type_symbol
_atom_site_fract_x
_atom_site_fract_y
_atom_site_fract_z
Ac1 Ac 0.000 0.000 0.000
Ti1 Ti 0.500 0.500 0.500
O1 O 0.000 0.500 0.500
O2 O 0.500 0.000 0.500
O3 O 0.500 0.500 0.000
```

First-principles (r2SCAN) data for an optimized crystal structure of Ac2SiPd, as listed in the Materials Project.

Values from the calculation:
Energy = -42.85 eV/atom
Formation energy from the elements = -602 meV per atom
Crystal system = cubic

Structure (CIF):
```
data_Ac2SiPd
_space_group_name_H-M_alt 'P 1'
_space_group_IT_number 1
_space_group_name_Hall 'P 1'
_cell_length_a 5.435
_cell_length_b 5.435
_cell_length_c 5.435
_cell_angle_alpha 60.00
_cell_angle_beta 60.00
_cell_angle_gamma 60.00
loop_
_atom_site_label
_atom_site_type_symbol
_atom_site_fract_x
_atom_site_fract_y
_atom_site_fract_z
Ac1 Ac 0.250 0.250 0.250
Ac2 Ac 0.750 0.750 0.750
Si1 Si 0.000 0.000 0.000
Pd1 Pd 0.500 0.500 0.500
```